VASP calculation (PBE-GGA) on a geometry-optimized CaHgPb structure.

Cell lengths 5.1518, 5.1518, 7.5587 Å; angles 90.00, 90.00, 120.00 degrees
Space group P6_3/mmc (No. 194)
Unique sites:
Ca  0.0000  0.0000  0.0000
Hg  0.3333  0.6667  0.2500
Pb  0.3333  0.6667  0.7500

Values from the calculation:
- formation energy (meV per atom) = -352.2
- crystal system = hexagonal